(1)
# SmFeSi PBE-GGA relaxed
# Space group   No. 129
# Energy   -0.2499 Ha/atom
# Crystal system   tetragonal
# Energy of formation from the pure elements   -55 kJ per mole of atoms
data_SmFeSi
_chemical_formula_sum 'Sm2 Fe2 Si2'
_symmetry_space_group_name_H-M 'P 1'
_symmetry_Int_Tables_number 1
_symmetry_space_group_name_Hall 'P 1'
_cell_length_a 4.037
_cell_length_b 4.037
_cell_length_c 6.777
_cell_angle_alpha 90.00
_cell_angle_beta 90.00
_cell_angle_gamma 90.00
loop_
_atom_site_label
_atom_site_fract_x
_atom_site_fract_y
_atom_site_fract_z
Sm1 0.000 0.500 0.316
Sm2 0.500 0.000 0.684
Fe1 0.000 0.000 0.000
Fe2 0.500 0.500 0.000
Si1 0.000 0.500 0.831
Si2 0.500 0.000 0.169


(2)
# Sm2Fe3Si5 PBE-GGA relaxed
# Space group   No. 128
# Energy   -0.2520 Ha/atom
# Crystal system   tetragonal
# Energy of formation from the pure elements   -60 kJ per mole of atoms
data_Sm2Fe3Si5
_chemical_formula_sum 'Sm8 Fe12 Si20'
_symmetry_space_group_name_H-M 'P 1'
_symmetry_Int_Tables_number 1
_symmetry_space_group_name_Hall 'P 1'
_cell_length_a 10.454
_cell_length_b 10.454
_cell_length_c 5.586
_cell_angle_alpha 90.00
_cell_angle_beta 90.00
_cell_angle_gamma 90.00
loop_
_atom_site_label
_atom_site_fract_x
_atom_site_fract_y
_atom_site_fract_z
Sm1 0.569 0.736 0.500
Sm2 0.431 0.264 0.500
Sm3 0.069 0.764 0.000
Sm4 0.931 0.236 0.000
Sm5 0.264 0.569 0.500
Sm6 0.736 0.431 0.500
Sm7 0.236 0.069 0.000
Sm8 0.764 0.931 0.000
Fe1 0.877 0.854 0.500
Fe2 0.123 0.146 0.500
Fe3 0.377 0.646 0.000
Fe4 0.623 0.354 0.000
Fe5 0.146 0.877 0.500
Fe6 0.854 0.123 0.500
Fe7 0.354 0.377 0.000
Fe8 0.646 0.623 0.000
Fe9 0.500 0.000 0.250
Fe10 0.000 0.500 0.750
Fe11 0.000 0.500 0.250
Fe12 0.500 0.000 0.750
Si1 0.678 0.178 0.250
Si2 0.322 0.822 0.250
Si3 0.178 0.322 0.750
Si4 0.822 0.678 0.750
Si5 0.822 0.678 0.250
Si6 0.178 0.322 0.250
Si7 0.678 0.178 0.750
Si8 0.322 0.822 0.750
Si9 0.500 0.500 0.221
Si10 0.000 0.000 0.721
Si11 0.500 0.500 0.779
Si12 0.000 0.000 0.279
Si13 0.679 0.981 0.500
Si14 0.321 0.019 0.500
Si15 0.179 0.519 0.000
Si16 0.821 0.481 0.000
Si17 0.019 0.679 0.500
Si18 0.981 0.321 0.500
Si19 0.481 0.179 0.000
Si20 0.519 0.821 0.000


(3)
# SmFeSi2 PBE-GGA relaxed
# Space group   No. 11
# Energy   -0.2467 Ha/atom
# Crystal system   monoclinic
# Energy of formation from the pure elements   -64 kJ per mole of atoms
data_SmFeSi2
_chemical_formula_sum 'Sm2 Fe2 Si4'
_symmetry_space_group_name_H-M 'P 1'
_symmetry_Int_Tables_number 1
_symmetry_space_group_name_Hall 'P 1'
_cell_length_a 3.983
_cell_length_b 4.318
_cell_length_c 8.035
_cell_angle_alpha 76.84
_cell_angle_beta 90.00
_cell_angle_gamma 90.00
loop_
_atom_site_label
_atom_site_fract_x
_atom_site_fract_y
_atom_site_fract_z
Sm1 0.250 0.596 0.795
Sm2 0.750 0.404 0.205
Fe1 0.250 0.882 0.391
Fe2 0.750 0.118 0.609
Si1 0.250 0.960 0.098
Si2 0.750 0.040 0.902
Si3 0.250 0.327 0.493
Si4 0.750 0.673 0.507


(4)
# Ta3Fe8Si PBE-GGA relaxed
# Space group   No. 156
# Energy   -0.3395 Ha/atom
# Crystal system   trigonal
# Energy of formation from the pure elements   -16 kJ per mole of atoms
data_Ta3Fe8Si
_chemical_formula_sum 'Ta3 Fe8 Si1'
_symmetry_space_group_name_H-M 'P 1'
_symmetry_Int_Tables_number 1
_symmetry_space_group_name_Hall 'P 1'
_cell_length_a 4.762
_cell_length_b 4.762
_cell_length_c 7.770
_cell_angle_alpha 90.00
_cell_angle_beta 90.00
_cell_angle_gamma 120.00
loop_
_atom_site_label
_atom_site_fract_x
_atom_site_fract_y
_atom_site_fract_z
Ta1 0.000 0.000 0.442
Ta2 0.000 0.000 0.066
Ta3 0.667 0.333 0.917
Fe1 0.333 0.667 0.502
Fe2 0.333 0.667 0.008
Fe3 0.165 0.835 0.749
Fe4 0.671 0.835 0.749
Fe5 0.165 0.329 0.749
Fe6 0.503 0.497 0.253
Fe7 0.993 0.497 0.253
Fe8 0.503 0.007 0.253
Si1 0.667 0.333 0.557


(5)
# Tb2Fe3Si5 PBE-GGA relaxed
# Space group   No. 128
# Energy   -0.2525 Ha/atom
# Crystal system   tetragonal
# Energy of formation from the pure elements   -63 kJ per mole of atoms
data_Tb2Fe3Si5
_chemical_formula_sum 'Tb8 Fe12 Si20'
_symmetry_space_group_name_H-M 'P 1'
_symmetry_Int_Tables_number 1
_symmetry_space_group_name_Hall 'P 1'
_cell_length_a 10.393
_cell_length_b 10.393
_cell_length_c 5.508
_cell_angle_alpha 90.00
_cell_angle_beta 90.00
_cell_angle_gamma 90.00
loop_
_atom_site_label
_atom_site_fract_x
_atom_site_fract_y
_atom_site_fract_z
Tb1 0.236 0.069 0.000
Tb2 0.069 0.764 0.000
Tb3 0.931 0.236 0.000
Tb4 0.764 0.931 0.000
Tb5 0.264 0.569 0.500
Tb6 0.736 0.431 0.500
Tb7 0.569 0.736 0.500
Tb8 0.431 0.264 0.500
Fe1 0.855 0.123 0.500
Fe2 0.000 0.500 0.250
Fe3 0.500 0.000 0.750
Fe4 0.000 0.500 0.750
Fe5 0.355 0.377 0.000
Fe6 0.377 0.645 0.000
Fe7 0.623 0.355 0.000
Fe8 0.645 0.623 0.000
Fe9 0.123 0.145 0.500
Fe10 0.877 0.855 0.500
Fe11 0.145 0.877 0.500
Fe12 0.500 0.000 0.250
Si1 0.320 0.021 0.500
Si2 0.680 0.979 0.500
Si3 0.979 0.320 0.500
Si4 0.021 0.680 0.500
Si5 0.521 0.820 0.000
Si6 0.820 0.479 0.000
Si7 0.180 0.521 0.000
Si8 0.479 0.180 0.000
Si9 0.677 0.177 0.750
Si10 0.177 0.323 0.750
Si11 0.823 0.677 0.750
Si12 0.323 0.823 0.750
Si13 0.323 0.823 0.250
Si14 0.823 0.677 0.250
Si15 0.177 0.323 0.250
Si16 0.000 0.000 0.271
Si17 0.500 0.500 0.771
Si18 0.000 0.000 0.729
Si19 0.500 0.500 0.229
Si20 0.677 0.177 0.250


(6)
# Tb3FeSi6 PBE-GGA relaxed
# Space group   No. 38
# Energy   -0.2201 Ha/atom
# Crystal system   orthorhombic
# Energy of formation from the pure elements   -44 kJ per mole of atoms
data_Tb3FeSi6
_chemical_formula_sum 'Tb6 Fe2 Si12'
_symmetry_space_group_name_H-M 'P 1'
_symmetry_Int_Tables_number 1
_symmetry_space_group_name_Hall 'P 1'
_cell_length_a 4.000
_cell_length_b 4.023
_cell_length_c 23.810
_cell_angle_alpha 85.15
_cell_angle_beta 90.00
_cell_angle_gamma 90.00
loop_
_atom_site_label
_atom_site_fract_x
_atom_site_fract_y
_atom_site_fract_z
Tb1 0.250 0.964 0.073
Tb2 0.250 0.298 0.405
Tb3 0.250 0.630 0.740
Tb4 0.750 0.370 0.260
Tb5 0.750 0.702 0.595
Tb6 0.750 0.039 0.922
Fe1 0.250 0.417 0.165
Fe2 0.250 0.750 0.500
Si1 0.250 0.846 0.307
Si2 0.250 0.180 0.641
Si3 0.250 0.515 0.970
Si4 0.750 0.487 0.026
Si5 0.750 0.819 0.362
Si6 0.750 0.151 0.698
Si7 0.250 0.897 0.206
Si8 0.250 0.230 0.539
Si9 0.250 0.564 0.871
Si10 0.750 0.436 0.128
Si11 0.750 0.769 0.462
Si12 0.750 0.102 0.796


(7)
# TbFe4Si2 PBE-GGA relaxed
# Space group   No. 136
# Energy   -0.2754 Ha/atom
# Crystal system   tetragonal
# Energy of formation from the pure elements   -41 kJ per mole of atoms
data_TbFe4Si2
_chemical_formula_sum 'Tb2 Fe8 Si4'
_symmetry_space_group_name_H-M 'P 1'
_symmetry_Int_Tables_number 1
_symmetry_space_group_name_Hall 'P 1'
_cell_length_a 7.100
_cell_length_b 7.100
_cell_length_c 3.774
_cell_angle_alpha 90.00
_cell_angle_beta 90.00
_cell_angle_gamma 90.00
loop_
_atom_site_label
_atom_site_fract_x
_atom_site_fract_y
_atom_site_fract_z
Tb1 0.000 0.000 0.000
Tb2 0.500 0.500 0.500
Fe1 0.588 0.151 0.000
Fe2 0.412 0.849 0.000
Fe3 0.651 0.912 0.500
Fe4 0.088 0.349 0.500
Fe5 0.349 0.088 0.500
Fe6 0.912 0.651 0.500
Fe7 0.151 0.588 0.000
Fe8 0.849 0.412 0.000
Si1 0.282 0.282 0.000
Si2 0.718 0.718 0.000
Si3 0.782 0.218 0.500
Si4 0.218 0.782 0.500


(8)
# Tb2FeSi4 PBE-GGA relaxed
# Space group   No. 38
# Energy   -0.2267 Ha/atom
# Crystal system   orthorhombic
# Energy of formation from the pure elements   -48 kJ per mole of atoms
data_Tb2FeSi4
_chemical_formula_sum 'Tb2 Fe1 Si4'
_symmetry_space_group_name_H-M 'P 1'
_symmetry_Int_Tables_number 1
_symmetry_space_group_name_Hall 'P 1'
_cell_length_a 4.059
_cell_length_b 4.051
_cell_length_c 8.165
_cell_angle_alpha 75.63
_cell_angle_beta 90.00
_cell_angle_gamma 90.00
loop_
_atom_site_label
_atom_site_fract_x
_atom_site_fract_y
_atom_site_fract_z
Tb1 0.250 0.608 0.784
Tb2 0.750 0.389 0.222
Fe1 0.250 0.248 0.504
Si1 0.250 0.806 0.388
Si2 0.750 0.195 0.609
Si3 0.250 0.962 0.076
Si4 0.750 0.041 0.917


> Which value of energy of formation from the pure elements does entry 4 give?

-16 kJ per mole of atoms